Entry 1:
Li2VF4, relaxed, DFT PBE with a Hubbard U; total magnetization = 3.00 μB/f.u.; ρ = 2.9 g/cm³; space-group type = P2/c; ΔE_f = -21.396 eV per formula unit
1.0
-0.8522 2.5658 -1.6981
-1.8955 -3.1308 -3.7793
-10.2857 -2.6339 1.1823
F Li V
8 4 2
Direct
0.0585 0.7554 0.6233
0.4195 0.2684 0.1312
0.5805 0.2684 0.6312
0.9415 0.7554 0.1233
0.4195 0.7316 0.3688
0.5805 0.7316 0.8688
0.9415 0.2446 0.3767
0.0585 0.2446 0.8767
0.9209 0.1644 0.0745
0.9209 0.8356 0.4255
0.0791 0.1644 0.5745
0.0791 0.8356 0.9255
0.5653 0.5000 0.7500
0.4347 0.5000 0.2500


Entry 2:
Li4VF8, relaxed, DFT PBE with a Hubbard U; total magnetization = 1.00 μB/f.u.; ρ = 3.0 g/cm³; space-group type = Pnma; ΔE_f = -39.842 eV per formula unit
1.0
5.6674 0.0000 0.0000
0.0000 9.4515 0.0000
0.0000 0.0000 9.4762
F V Li
32 4 16
Direct
0.1591 0.3796 0.0231
0.1183 0.2500 0.2653
0.0931 0.6253 0.4719
0.8409 0.6204 0.9769
0.3708 0.4628 0.2370
0.1591 0.1204 0.0231
0.0931 0.8747 0.4719
0.4069 0.6253 0.9719
0.5931 0.3747 0.0281
0.8708 0.9628 0.2630
0.6183 0.7500 0.2347
0.8409 0.8796 0.9769
0.5931 0.1253 0.0281
0.4069 0.8747 0.9719
0.1292 0.0372 0.7370
0.6292 0.5372 0.7630
0.3708 0.0372 0.2370
0.6591 0.6204 0.4769
0.8708 0.5372 0.2630
0.3817 0.2500 0.7653
0.6591 0.8796 0.4769
0.1292 0.4628 0.7370
0.1151 0.7500 0.2247
0.3409 0.3796 0.5231
0.3409 0.1204 0.5231
0.3849 0.7500 0.7247
0.9069 0.1253 0.5281
0.6292 0.9628 0.7630
0.8817 0.7500 0.7347
0.8849 0.2500 0.7753
0.6151 0.2500 0.2753
0.9069 0.3747 0.5281
0.6278 0.7500 0.8662
0.1278 0.2500 0.6338
0.8722 0.7500 0.3662
0.3722 0.2500 0.1338
0.8871 0.9362 0.6310
0.3776 0.5781 0.6091
0.8776 0.0781 0.8909
0.3871 0.0638 0.8690
0.6224 0.4219 0.3909
0.1129 0.0638 0.3690
0.3776 0.9219 0.6091
0.8871 0.5638 0.6310
0.3871 0.4362 0.8690
0.6224 0.0781 0.3909
0.1129 0.4362 0.3690
0.8776 0.4219 0.8909
0.6129 0.5638 0.1310
0.6129 0.9362 0.1310
0.1224 0.5781 0.1091
0.1224 0.9219 0.1091


Entry 3:
LiVF5, relaxed, DFT PBE with a Hubbard U; total magnetization = 1.00 μB/f.u.; ρ = 2.5 g/cm³; space-group type = Pnma; ΔE_f = -21.063 eV per formula unit
1.0
-3.3422 -1.9696 -3.6348
6.3324 -1.0418 -5.2582
1.3880 -8.5759 3.3707
F V Li
20 4 4
Direct
0.4824 0.9105 0.6371
0.2500 0.1117 0.8481
0.0119 0.6951 0.3924
0.4881 0.8049 0.8924
0.0119 0.8049 0.8924
0.9881 0.1951 0.1076
0.9824 0.0895 0.3629
0.5119 0.3049 0.6076
0.7500 0.6117 0.6519
0.4881 0.6951 0.3924
0.4824 0.5895 0.1371
0.7500 0.8883 0.1519
0.5119 0.1951 0.1076
0.9881 0.3049 0.6076
0.5176 0.0895 0.3629
0.2500 0.3883 0.3481
0.0176 0.5895 0.1371
0.5176 0.4105 0.8629
0.0176 0.9105 0.6371
0.9824 0.4105 0.8629
0.2500 0.5876 0.2849
0.2500 0.9124 0.7849
0.7500 0.4124 0.7151
0.7500 0.0876 0.2151
0.2500 0.3078 0.9820
0.2500 0.1922 0.4820
0.7500 0.6922 0.0180
0.7500 0.8078 0.5180


Entry 4:
LiVF6, relaxed, DFT PBE with a Hubbard U; total magnetization = 0.00 μB/f.u.; ρ = 2.3 g/cm³; piezoelectric modulus e_max = 0.5 C/m2; space-group type = Cc; ΔE_f = -23.530 eV per formula unit
1.0
2.7042 4.7153 0.0000
-2.7042 4.7153 0.0000
0.0000 0.1559 9.8650
F V Li
12 2 2
Direct
0.3925 0.4496 0.9007
0.8752 0.6569 0.3001
0.9654 0.9991 0.4457
0.9220 0.5424 0.0008
0.0668 0.3824 0.7443
0.5424 0.9220 0.5008
0.9991 0.9654 0.9457
0.6569 0.8752 0.8001
0.1406 0.8067 0.7062
0.8067 0.1406 0.2062
0.4496 0.3925 0.4007
0.3824 0.0668 0.2443
0.6732 0.0320 0.3531
0.0320 0.6732 0.8531
0.0118 0.3409 0.1743
0.3409 0.0118 0.6743


Entry 5:
Li3VF5, relaxed, DFT PBE with a Hubbard U; total magnetization = 3.00 μB/f.u.; ρ = 2.9 g/cm³; space-group type = P3_121; ΔE_f = -27.084 eV per formula unit
1.0
1.4893 3.0443 -3.6179
-3.8559 1.2445 2.8562
8.4015 6.1727 8.6524
Li F V
9 15 3
Direct
0.9778 0.6288 0.4126
0.3712 0.3489 0.7460
0.0000 0.7090 0.1667
0.3489 0.3712 0.2540
0.2910 0.2910 0.5000
0.7090 0.0000 0.8333
0.6288 0.9778 0.5874
0.0222 0.6511 0.9207
0.6511 0.0222 0.0793
0.8557 0.2193 0.4692
0.3636 0.1443 0.1358
0.4614 0.0337 0.9374
0.5724 0.5386 0.6041
0.1443 0.3636 0.8642
0.7736 0.7736 0.0000
0.5386 0.5724 0.3959
0.6364 0.7807 0.1975
0.7807 0.6364 0.8025
0.2264 0.0000 0.3333
0.4276 0.9663 0.7292
0.2193 0.8557 0.5308
0.9663 0.4276 0.2708
0.0000 0.2264 0.6667
0.0337 0.4614 0.0626
0.0000 0.6791 0.6667
0.6791 0.0000 0.3333
0.3209 0.3209 0.0000


Entry 6:
LiVF6, relaxed, DFT PBE with a Hubbard U; total magnetization = 0.00 μB/f.u.; ρ = 2.0 g/cm³; space-group type = P2_1/c; ΔE_f = -23.341 eV per formula unit
1.0
10.4525 0.0000 0.0000
0.0000 5.3351 0.0000
0.0000 1.9003 10.1924
F V Li
24 4 4
Direct
0.5739 0.1495 0.3531
0.2790 0.6086 0.9616
0.0006 0.4337 0.6436
0.7790 0.3914 0.5384
0.4994 0.4337 0.1436
0.0739 0.8505 0.1469
0.0878 0.0028 0.3725
0.4261 0.8505 0.6469
0.2083 0.4598 0.2454
0.4122 0.0028 0.8725
0.7917 0.5402 0.7546
0.2917 0.9166 0.2466
0.2083 0.9166 0.7466
0.7210 0.3914 0.0384
0.2210 0.6086 0.4616
0.7083 0.5402 0.2546
0.5006 0.5663 0.8564
0.5878 0.9972 0.1275
0.7917 0.0834 0.2534
0.9261 0.1495 0.8531
0.9122 0.9972 0.6275
0.9994 0.5663 0.3564
0.7083 0.0834 0.7534
0.2917 0.4598 0.7454
0.3528 0.7471 0.8017
0.8528 0.2529 0.6983
0.1472 0.7471 0.3017
0.6472 0.2529 0.1983
0.3236 0.3898 0.1201
0.8236 0.6102 0.3799
0.1764 0.3898 0.6201
0.6764 0.6102 0.8799


Entry 7:
LiVF6, relaxed, DFT PBE with a Hubbard U; total magnetization = 0.00 μB/f.u.; ρ = 2.6 g/cm³; space-group type = Cmc2_1; ΔE_f = -23.568 eV per formula unit
1.0
1.1724 4.8096 -2.2733
-4.2367 -0.5374 3.3818
5.1222 1.9295 6.7237
F Li V
12 2 2
Direct
0.3303 0.1535 0.0982
0.1535 0.3303 0.5982
0.9338 0.0662 0.2847
0.6136 0.9078 0.8883
0.6942 0.3058 0.6947
0.0662 0.9338 0.7847
0.0922 0.3864 0.8883
0.3058 0.6942 0.1947
0.8465 0.6697 0.0982
0.3864 0.0922 0.3883
0.9078 0.6136 0.3883
0.6697 0.8465 0.5982
0.4420 0.5580 0.0250
0.5580 0.4420 0.5250
0.8830 0.1170 0.7426
0.1170 0.8830 0.2426


Entry 8:
LiVF6, relaxed, DFT PBE with a Hubbard U; total magnetization = 0.00 μB/f.u.; ρ = 2.1 g/cm³; piezoelectric modulus e_max = 0.9 C/m2; space-group type = P3m1; ΔE_f = -23.287 eV per formula unit
1.0
2.8528 -4.9412 0.0000
2.8528 4.9412 0.0000
0.0000 0.0000 4.8421
F Li V
6 1 1
Direct
0.6386 0.8193 0.2174
0.4840 0.5160 0.7836
0.0319 0.5160 0.7836
0.4840 0.9681 0.7836
0.1807 0.8193 0.2174
0.1807 0.3614 0.2174
0.6667 0.3333 0.7001
0.3333 0.6667 0.0145


Entry 9:
Li2VF4, relaxed, DFT PBE with a Hubbard U; total magnetization = 3.00 μB/f.u.; ρ = 2.9 g/cm³; space-group type = Imma; ΔE_f = -21.493 eV per formula unit
1.0
-3.0022 3.1399 4.2713
3.0022 -3.1399 4.2713
3.0022 3.1399 -4.2713
F Li V
8 4 2
Direct
0.7274 0.7455 0.9819
0.2533 0.2656 0.5123
0.7364 0.2545 0.4819
0.2636 0.7455 0.5181
0.7467 0.7344 0.4877
0.2726 0.2545 0.0181
0.7467 0.2590 0.0123
0.2533 0.7410 0.9877
0.8842 0.1342 0.7500
0.5000 0.0000 0.0000
0.1158 0.8658 0.2500
0.5000 0.5000 0.5000
0.0000 0.5000 0.5000
0.5000 0.5000 0.0000


Entry 10:
LiVF6, relaxed, DFT PBE with a Hubbard U; ρ = 2.7 g/cm³; space-group type = P2_1/c; ΔE_f = -23.711 eV per formula unit
1.0
5.3986 0.0000 0.0000
0.0000 5.2345 0.0000
0.0000 5.1756 7.5353
F V Li
12 2 2
Direct
0.8099 0.6771 0.0421
0.6901 0.6771 0.5421
0.7774 0.2315 0.4548
0.5195 0.8556 0.7322
0.3099 0.3229 0.4579
0.9805 0.8556 0.2322
0.4805 0.1444 0.2678
0.0195 0.1444 0.7678
0.2226 0.7685 0.5452
0.1901 0.3229 0.9579
0.2774 0.7685 0.0452
0.7226 0.2315 0.9548
0.5000 0.0000 0.5000
0.0000 0.0000 0.0000
0.5000 0.5000 0.0000
0.0000 0.5000 0.5000


Entry 11:
Li3VF6, relaxed, DFT PBE with a Hubbard U; total magnetization = 2.00 μB/f.u.; ρ = 2.8 g/cm³; space-group type = P2_1; ΔE_f = -31.661 eV per formula unit
1.0
-2.3547 -3.8079 7.4237
3.3175 -3.8536 -0.9244
4.7847 1.0786 2.0709
Li F V
6 12 2
Direct
0.1630 0.4188 0.0110
0.6604 0.7984 0.4530
0.8378 0.0970 0.8942
0.6630 0.5812 0.9890
0.1604 0.2016 0.5470
0.3378 0.9030 0.1058
0.3291 0.2506 0.7726
0.8291 0.7494 0.2274
0.0258 0.1424 0.2679
0.6489 0.2055 0.2628
0.6621 0.3564 0.7209
0.5023 0.6529 0.2761
0.0023 0.3471 0.7239
0.5258 0.8576 0.7321
0.1621 0.6436 0.2791
0.1489 0.7945 0.7372
0.8341 0.8237 0.7038
0.3341 0.1763 0.2962
0.4987 0.2524 0.5179
0.9987 0.7476 0.4821


Entry 12:
LiVF5, relaxed, DFT PBE with a Hubbard U; ρ = 2.7 g/cm³; space-group type = Pnma; ΔE_f = -21.633 eV per formula unit
1.0
-6.1786 0.3765 0.6582
0.6276 -2.2583 7.1829
0.7069 7.5563 2.3139
F V Li
20 4 4
Direct
0.4952 0.2500 0.5103
0.0048 0.7500 0.0103
0.7798 0.9869 0.6284
0.0847 0.7500 0.6840
0.5959 0.2500 0.8944
0.2202 0.0131 0.3716
0.2798 0.9869 0.8716
0.2202 0.4869 0.3716
0.5048 0.7500 0.4897
0.7202 0.4869 0.1284
0.7202 0.0131 0.1284
0.2798 0.5131 0.8716
0.9952 0.2500 0.9897
0.5847 0.7500 0.8160
0.4153 0.2500 0.1840
0.0959 0.2500 0.6056
0.7798 0.5131 0.6284
0.9153 0.2500 0.3160
0.9041 0.7500 0.3944
0.4041 0.7500 0.1056
0.7365 0.2500 0.0999
0.2365 0.2500 0.4001
0.7635 0.7500 0.5999
0.2635 0.7500 0.9001
0.2871 0.2500 0.9251
0.2129 0.7500 0.4251
0.7129 0.7500 0.0749
0.7871 0.2500 0.5749